(1)
DFT (GGA-PBE) results for a relaxed YB4Mo crystal.

Results
ΔH_f (0 K): -619 meV/atom
space group: Pbam, No. 55
density: 5.93 g/cm3

a = 6.0388 Å, b = 11.6692 Å, c = 3.6282 Å
α = 90.00°, β = 90.00°, γ = 90.00°
Closest atoms and distances in Å follow each position.
Element x y z (fractional)
Y  0.1269  0.1498  0.0000  14 B 2.68-2.83
Y  0.3731  0.6498  0.0000  14 B 2.68-2.83
Y  0.6269  0.3502  0.0000  14 B 2.68-2.83
Y  0.8731  0.8502  0.0000  14 B 2.68-2.83
B  0.0237  0.6935  0.5000  3 B 1.79-1.88
B  0.1139  0.5474  0.5000  3 B 1.77-1.79
B  0.1335  0.9681  0.5000  3 B 1.78-1.86
B  0.2132  0.8139  0.5000  3 B 1.81-1.88
B  0.2868  0.3139  0.5000  3 B 1.81-1.88
B  0.3665  0.4681  0.5000  3 B 1.78-1.86
B  0.3861  0.0474  0.5000  3 B 1.77-1.79
B  0.4763  0.1935  0.5000  3 B 1.79-1.88
B  0.5237  0.8065  0.5000  3 B 1.79-1.88
B  0.6139  0.9526  0.5000  3 B 1.77-1.79
B  0.6335  0.5319  0.5000  3 B 1.78-1.86
B  0.7132  0.6861  0.5000  3 B 1.81-1.88
B  0.7868  0.1861  0.5000  3 B 1.81-1.88
B  0.8665  0.0319  0.5000  3 B 1.78-1.86
B  0.8861  0.4526  0.5000  3 B 1.77-1.79
B  0.9763  0.3065  0.5000  3 B 1.79-1.88
Mo  0.1296  0.4164  0.0000  10 B 2.37-2.41, 1 Mo 2.50
Mo  0.3704  0.9164  0.0000  10 B 2.37-2.41, 1 Mo 2.50
Mo  0.6296  0.0836  0.0000  10 B 2.37-2.41, 1 Mo 2.50
Mo  0.8704  0.5836  0.0000  10 B 2.37-2.41, 1 Mo 2.50



(2)
DFT (GGA-PBE) results for a relaxed HfNF5 crystal.

Results
ΔH_f (0 K): -2603 meV/atom
space group: Cmce, No. 64
density: 3.71 g/cm3
E (MP2020): -6.58 eV/atom

a = 8.4925 Å, b = 8.4925 Å, c = 8.3448 Å
α = 90.00°, β = 90.00°, γ = 58.70°
Closest atoms and distances in Å follow each position.
Element x y z (fractional)
Hf  0.2444  0.7556  0.7532  6 F 1.92-2.13
Hf  0.2556  0.7444  0.2532  6 F 1.92-2.13
Hf  0.7444  0.2556  0.7468  6 F 1.92-2.13
Hf  0.7556  0.2444  0.2468  6 F 1.92-2.13
N  0.2275  0.2275  0.0000  1 F 1.35
N  0.2725  0.2725  0.5000  1 F 1.35
N  0.7275  0.7275  0.5000  1 F 1.35
N  0.7725  0.7725  0.0000  1 F 1.35
F  0.0030  0.9970  0.2543  2 Hf 2.06-2.10
F  0.1191  0.6234  0.2287  1 Hf 1.92
F  0.1234  0.6191  0.7287  1 Hf 1.92
F  0.1366  0.1366  0.0000  1 N 1.35
F  0.2461  0.7539  0.4976  2 Hf 2.04-2.13
F  0.2539  0.7461  0.9976  2 Hf 2.04-2.13
F  0.3634  0.3634  0.5000  1 N 1.35
F  0.3766  0.8809  0.2287  1 Hf 1.92
F  0.3809  0.8766  0.7287  1 Hf 1.92
F  0.4970  0.5030  0.7543  2 Hf 2.06-2.10
F  0.5030  0.4970  0.2457  2 Hf 2.06-2.10
F  0.6191  0.1234  0.2713  1 Hf 1.92
F  0.6234  0.1191  0.7713  1 Hf 1.92
F  0.6366  0.6366  0.5000  1 N 1.35
F  0.7461  0.2539  0.0024  2 Hf 2.04-2.13
F  0.7539  0.2461  0.5024  2 Hf 2.04-2.13
F  0.8634  0.8634  0.0000  1 N 1.35
F  0.8766  0.3809  0.2713  1 Hf 1.92
F  0.8809  0.3766  0.7713  1 Hf 1.92
F  0.9970  0.0030  0.7457  2 Hf 2.06-2.10



(3)
DFT (GGA-PBE) results for a relaxed NaP5 crystal.

Results
ΔH_f (0 K): -175 meV/atom
space group: Pnma, No. 62
density: 2.30 g/cm3

a = 11.0569 Å, b = 6.5526 Å, c = 7.0841 Å
α = 90.00°, β = 90.00°, γ = 90.00°
Closest atoms and distances in Å follow each position.
Element x y z (fractional)
Na  0.0755  0.2500  0.0900  3 P 2.86-3.03
Na  0.4245  0.7500  0.5900  3 P 2.86-3.03
Na  0.5755  0.2500  0.4100  3 P 2.86-3.03
Na  0.9245  0.7500  0.9100  3 P 2.86-3.03
P  0.0817  0.5135  0.5933  3 P 2.24
P  0.0817  0.9865  0.5933  3 P 2.24
P  0.1406  0.7500  0.1337  2 P 2.18-2.19
P  0.1860  0.7500  0.4344  3 P 2.19-2.24
P  0.1889  0.2500  0.4802  3 P 2.18-2.24
P  0.3111  0.7500  0.9802  3 P 2.18-2.24
P  0.3140  0.2500  0.9344  3 P 2.19-2.24
P  0.3594  0.2500  0.6337  2 P 2.18-2.19
P  0.4183  0.0135  0.0933  3 P 2.24
P  0.4183  0.4865  0.0933  3 P 2.24
P  0.5817  0.5135  0.9067  3 P 2.24
P  0.5817  0.9865  0.9067  3 P 2.24
P  0.6406  0.7500  0.3663  2 P 2.18-2.19
P  0.6860  0.7500  0.0656  3 P 2.19-2.24
P  0.6889  0.2500  0.0198  3 P 2.18-2.24
P  0.8111  0.7500  0.5198  3 P 2.18-2.24
P  0.8140  0.2500  0.5656  3 P 2.19-2.24
P  0.8594  0.2500  0.8663  2 P 2.18-2.19
P  0.9183  0.0135  0.4067  3 P 2.24
P  0.9183  0.4865  0.4067  3 P 2.24



(4)
DFT (GGA-PBE) results for a relaxed NaTiSi2O6 crystal.

Results
ΔH_f (0 K): -3104 meV/atom
space group: C2/c, No. 15
density: 3.31 g/cm3
E (MP2020): -8.08 eV/atom

a = 6.6473 Å, b = 6.6473 Å, c = 5.3124 Å
α = 102.01°, β = 102.01°, γ = 83.30°
Closest atoms and distances in Å follow each position.
Element x y z (fractional)
Na  0.1950  0.8050  0.7500  6 O 2.41-2.45
Na  0.8050  0.1950  0.2500  6 O 2.41-2.45
Ti  0.4115  0.5885  0.2500  6 O 2.00-2.13
Ti  0.5885  0.4115  0.7500  6 O 2.00-2.13
Si  0.1143  0.3005  0.7590  4 O 1.61-1.66
Si  0.3005  0.1143  0.2590  4 O 1.61-1.66
Si  0.6995  0.8857  0.7410  4 O 1.61-1.66
Si  0.8857  0.6995  0.2410  4 O 1.61-1.66
O  0.1214  0.6084  0.3087  1 Si 1.61
O  0.1409  0.1582  0.9866  2 Si 1.65-1.66
O  0.1582  0.1409  0.4866  2 Si 1.65-1.66
O  0.2941  0.4663  0.8494  1 Si 1.65
O  0.3916  0.8786  0.1913  1 Si 1.61
O  0.4663  0.2941  0.3494  1 Si 1.65
O  0.5337  0.7059  0.6506  1 Si 1.65
O  0.6084  0.1214  0.8087  1 Si 1.61
O  0.7059  0.5337  0.1506  1 Si 1.65
O  0.8418  0.8591  0.5134  2 Si 1.65-1.66
O  0.8591  0.8418  0.0134  2 Si 1.65-1.66
O  0.8786  0.3916  0.6913  1 Si 1.61



(5)
DFT (GGA-PBE) results for a relaxed Mg3Ta2Al18 crystal.

Results
ΔH_f (0 K): -121 meV/atom
space group: Fd-3m, No. 227
density: 3.73 g/cm3

a = 10.5077 Å, b = 10.5077 Å, c = 10.5077 Å
α = 60.00°, β = 60.00°, γ = 60.00°
Closest atoms and distances in Å follow each position.
Element x y z (fractional)
Mg  0.0000  0.0000  0.0000  12 Al 3.17, 2 Mg 3.22
Mg  0.0000  0.0000  0.5000  12 Al 3.17, 2 Mg 3.22
Mg  0.0000  0.5000  0.0000  12 Al 3.17, 2 Mg 3.22
Mg  0.1250  0.1250  0.1250  4 Mg 3.22, 12 Al 3.27
Mg  0.5000  0.0000  0.0000  12 Al 3.17, 2 Mg 3.22
Mg  0.8750  0.8750  0.8750  4 Mg 3.22, 12 Al 3.27
Ta  0.0000  0.5000  0.5000  12 Al 2.64-2.89
Ta  0.5000  0.0000  0.5000  12 Al 2.64-2.89
Ta  0.5000  0.5000  0.0000  12 Al 2.64-2.89
Ta  0.5000  0.5000  0.5000  12 Al 2.64-2.89
Al  0.0594  0.3238  0.3238  8 Al 2.78-3.02, 1 Ta 2.89
Al  0.0594  0.3238  0.7930  8 Al 2.78-3.02, 1 Ta 2.89
Al  0.0594  0.7930  0.3238  8 Al 2.78-3.02, 1 Ta 2.89
Al  0.2070  0.6762  0.6762  8 Al 2.78-3.02, 1 Ta 2.89
Al  0.2070  0.6762  0.9406  8 Al 2.78-3.02, 1 Ta 2.89
Al  0.2070  0.9406  0.6762  8 Al 2.78-3.02, 1 Ta 2.89
Al  0.2357  0.2357  0.5143  2 Ta 2.64, 10 Al 2.78-2.93
Al  0.2357  0.5143  0.2357  2 Ta 2.64, 10 Al 2.78-2.93
Al  0.2357  0.5143  0.5143  2 Ta 2.64, 10 Al 2.78-2.93
Al  0.3238  0.0594  0.3238  8 Al 2.78-3.02, 1 Ta 2.89
Al  0.3238  0.0594  0.7930  8 Al 2.78-3.02, 1 Ta 2.89
Al  0.3238  0.3238  0.0594  8 Al 2.78-3.02, 1 Ta 2.89
Al  0.3238  0.3238  0.7930  8 Al 2.78-3.02, 1 Ta 2.89
Al  0.3238  0.7930  0.0594  8 Al 2.78-3.02, 1 Ta 2.89
Al  0.3238  0.7930  0.3238  8 Al 2.78-3.02, 1 Ta 2.89
Al  0.4857  0.4857  0.7643  2 Ta 2.64, 10 Al 2.78-2.93
Al  0.4857  0.7643  0.4857  2 Ta 2.64, 10 Al 2.78-2.93
Al  0.4857  0.7643  0.7643  2 Ta 2.64, 10 Al 2.78-2.93
Al  0.5143  0.2357  0.2357  2 Ta 2.64, 10 Al 2.78-2.93
Al  0.5143  0.2357  0.5143  2 Ta 2.64, 10 Al 2.78-2.93
Al  0.5143  0.5143  0.2357  2 Ta 2.64, 10 Al 2.78-2.93
Al  0.6762  0.2070  0.6762  8 Al 2.78-3.02, 1 Ta 2.89
Al  0.6762  0.2070  0.9406  8 Al 2.78-3.02, 1 Ta 2.89
Al  0.6762  0.6762  0.2070  8 Al 2.78-3.02, 1 Ta 2.89
Al  0.6762  0.6762  0.9406  8 Al 2.78-3.02, 1 Ta 2.89
Al  0.6762  0.9406  0.2070  8 Al 2.78-3.02, 1 Ta 2.89
Al  0.6762  0.9406  0.6762  8 Al 2.78-3.02, 1 Ta 2.89
Al  0.7643  0.4857  0.4857  2 Ta 2.64, 10 Al 2.78-2.93
Al  0.7643  0.4857  0.7643  2 Ta 2.64, 10 Al 2.78-2.93
Al  0.7643  0.7643  0.4857  2 Ta 2.64, 10 Al 2.78-2.93
Al  0.7930  0.0594  0.3238  8 Al 2.78-3.02, 1 Ta 2.89
Al  0.7930  0.3238  0.0594  8 Al 2.78-3.02, 1 Ta 2.89
Al  0.7930  0.3238  0.3238  8 Al 2.78-3.02, 1 Ta 2.89
Al  0.9406  0.2070  0.6762  8 Al 2.78-3.02, 1 Ta 2.89
Al  0.9406  0.6762  0.2070  8 Al 2.78-3.02, 1 Ta 2.89
Al  0.9406  0.6762  0.6762  8 Al 2.78-3.02, 1 Ta 2.89



(6)
DFT (GGA-PBE) results for a relaxed Pr3PBr3 crystal.

Results
ΔH_f (0 K): -1897 meV/atom
space group: I4_132, No. 214
density: 5.39 g/cm3
E (MP2020): -5.42 eV/atom

a = 10.3572 Å, b = 10.3572 Å, c = 10.3572 Å
α = 109.47°, β = 109.47°, γ = 109.47°
Closest atoms and distances in Å follow each position.
Element x y z (fractional)
Pr  0.0130  0.0260  0.2630  2 P 2.84, 4 Br 3.09-3.16
Pr  0.0130  0.4870  0.7500  2 P 2.84, 4 Br 3.09-3.16
Pr  0.0260  0.2630  0.0130  2 P 2.84, 4 Br 3.09-3.16
Pr  0.2370  0.2630  0.7500  2 P 2.84, 4 Br 3.09-3.16
Pr  0.2370  0.4740  0.4870  2 P 2.84, 4 Br 3.09-3.16
Pr  0.2630  0.0130  0.0260  2 P 2.84, 4 Br 3.09-3.16
Pr  0.2630  0.7500  0.2370  2 P 2.84, 4 Br 3.09-3.16
Pr  0.4740  0.4870  0.2370  2 P 2.84, 4 Br 3.09-3.16
Pr  0.4870  0.2370  0.4740  2 P 2.84, 4 Br 3.09-3.16
Pr  0.4870  0.7500  0.0130  2 P 2.84, 4 Br 3.09-3.16
Pr  0.7500  0.0130  0.4870  2 P 2.84, 4 Br 3.09-3.16
Pr  0.7500  0.2370  0.2630  2 P 2.84, 4 Br 3.09-3.16
P  0.0000  0.2500  0.5000  6 Pr 2.84
P  0.2500  0.2500  0.2500  6 Pr 2.84
P  0.2500  0.5000  0.0000  6 Pr 2.84
P  0.5000  0.0000  0.2500  6 Pr 2.84
Br  0.2500  0.7573  0.7427  4 Pr 3.09-3.16
Br  0.2500  0.9927  0.5073  4 Pr 3.09-3.16
Br  0.5073  0.2500  0.9927  4 Pr 3.09-3.16
Br  0.5073  0.7573  0.5145  4 Pr 3.09-3.16
Br  0.5145  0.5073  0.7573  4 Pr 3.09-3.16
Br  0.7427  0.2500  0.7573  4 Pr 3.09-3.16
Br  0.7427  0.9927  0.9855  4 Pr 3.09-3.16
Br  0.7573  0.5145  0.5073  4 Pr 3.09-3.16
Br  0.7573  0.7427  0.2500  4 Pr 3.09-3.16
Br  0.9855  0.7427  0.9927  4 Pr 3.09-3.16
Br  0.9927  0.5073  0.2500  4 Pr 3.09-3.16
Br  0.9927  0.9855  0.7427  4 Pr 3.09-3.16



(7)
DFT (GGA-PBE) results for a relaxed Fe3P crystal.

Results
ΔH_f (0 K): -355 meV/atom
space group: I-4, No. 82
density: 7.35 g/cm3

a = 6.7618 Å, b = 6.7618 Å, c = 6.7618 Å
α = 96.04°, β = 96.04°, γ = 142.14°
Closest atoms and distances in Å follow each position.
Element x y z (fractional)
Fe  0.0209  0.6275  0.6687  4 P 2.27-2.33, 1 Fe 2.49
Fe  0.0722  0.0223  0.6100  3 P 2.25-2.39, 2 Fe 2.47-2.49
Fe  0.1286  0.3134  0.9727  2 P 2.30-2.34, 2 Fe 2.39-2.47
Fe  0.3406  0.1559  0.0273  2 P 2.30-2.34, 2 Fe 2.39-2.47
Fe  0.3725  0.0412  0.3934  4 P 2.27-2.33, 1 Fe 2.49
Fe  0.4123  0.4623  0.3900  3 P 2.25-2.39, 2 Fe 2.47-2.49
Fe  0.5377  0.9278  0.9501  3 P 2.25-2.39, 2 Fe 2.47-2.49
Fe  0.6479  0.9791  0.6066  4 P 2.27-2.33, 1 Fe 2.49
Fe  0.6866  0.6594  0.8152  2 P 2.30-2.34, 2 Fe 2.39-2.47
Fe  0.8441  0.8714  0.1848  2 P 2.30-2.34, 2 Fe 2.39-2.47
Fe  0.9588  0.3521  0.3313  4 P 2.27-2.33, 1 Fe 2.49
Fe  0.9777  0.5877  0.0499  3 P 2.25-2.39, 2 Fe 2.47-2.49
P  0.2154  0.4616  0.6638  9 Fe 2.25-2.39
P  0.4484  0.7846  0.2462  9 Fe 2.25-2.39
P  0.5384  0.2022  0.7538  9 Fe 2.25-2.39
P  0.7978  0.5516  0.3362  9 Fe 2.25-2.39



(8)
DFT (GGA-PBE) results for a relaxed Li2Ta3N5 crystal.

Results
ΔH_f (0 K): -1295 meV/atom
space group: C2/m, No. 12
density: 10.30 g/cm3
E (MP2020): -9.40 eV/atom

a = 5.3666 Å, b = 5.3666 Å, c = 9.6912 Å
α = 90.88°, β = 90.88°, γ = 46.37°
Closest atoms and distances in Å follow each position.
Element x y z (fractional)
Li  0.0437  0.0437  0.3470  6 N 2.11-2.25
Li  0.1467  0.1467  0.0484  5 N 2.11-2.35
Li  0.8533  0.8533  0.9516  5 N 2.11-2.35
Li  0.9563  0.9563  0.6530  6 N 2.11-2.25
Ta  0.2626  0.2626  0.7559  6 N 2.07-2.25
Ta  0.3568  0.3568  0.4525  6 N 2.12-2.22
Ta  0.4451  0.4451  0.1437  6 N 2.07-2.20
Ta  0.5549  0.5549  0.8563  6 N 2.07-2.20
Ta  0.6432  0.6432  0.5475  6 N 2.12-2.22
Ta  0.7374  0.7374  0.2441  6 N 2.07-2.25
N  0.0675  0.0675  0.8440  2 Li 2.12-2.14, 3 Ta 2.12
N  0.1539  0.1539  0.5495  4 Ta 2.12-2.25, 2 Li 2.21-2.23
N  0.2495  0.2495  0.2495  4 Ta 2.12-2.22, 2 Li 2.18-2.25
N  0.3608  0.3608  0.9467  3 Ta 2.07-2.12, 2 Li 2.11
N  0.4536  0.4536  0.6528  2 Li 2.11, 4 Ta 2.15-2.20
N  0.5464  0.5464  0.3472  2 Li 2.11, 4 Ta 2.15-2.20
N  0.6392  0.6392  0.0533  3 Ta 2.07-2.12, 2 Li 2.11
N  0.7505  0.7505  0.7505  4 Ta 2.12-2.22, 2 Li 2.18-2.25
N  0.8461  0.8461  0.4505  4 Ta 2.12-2.25, 2 Li 2.21-2.23
N  0.9325  0.9325  0.1560  2 Li 2.12-2.14, 3 Ta 2.12



(9)
DFT (GGA-PBE) results for a relaxed ThRe2 crystal.

Results
ΔH_f (0 K): -96 meV/atom
space group: P6_3/mmc, No. 194
density: 16.78 g/cm3

a = 5.4128 Å, b = 5.4128 Å, c = 9.4295 Å
α = 90.00°, β = 90.00°, γ = 120.00°
Closest atoms and distances in Å follow each position.
Element x y z (fractional)
Th  0.3333  0.6667  0.0609  12 Re 3.18-3.31, 3 Th 3.33
Th  0.3333  0.6667  0.4391  12 Re 3.18-3.31, 3 Th 3.33
Th  0.6667  0.3333  0.5609  12 Re 3.18-3.31, 3 Th 3.33
Th  0.6667  0.3333  0.9391  12 Re 3.18-3.31, 3 Th 3.33
Re  0.0000  0.0000  0.0000  6 Re 2.84, 6 Th 3.18
Re  0.0000  0.0000  0.5000  6 Re 2.84, 6 Th 3.18
Re  0.1695  0.3390  0.7500  6 Re 2.66-2.84
Re  0.1695  0.8305  0.7500  6 Re 2.66-2.84
Re  0.3390  0.1695  0.2500  6 Re 2.66-2.84
Re  0.6610  0.8305  0.7500  6 Re 2.66-2.84
Re  0.8305  0.1695  0.2500  6 Re 2.66-2.84
Re  0.8305  0.6610  0.2500  6 Re 2.66-2.84